Arrangement i

K4BaU3O12: optimized geometry, PBE.

- spin magnetization (μB/cell) = 0.00

```
data_K4BaU3O12
_cell_length_a 7.643
_cell_length_b 7.643
_cell_length_c 7.643
_cell_angle_alpha 109.18
_cell_angle_beta 109.18
_cell_angle_gamma 109.18
_symmetry_space_group_name_H-M 'P 1'
_symmetry_Int_Tables_number 1
_symmetry_space_group_name_Hall 'P 1'
loop_
_atom_site_label
_atom_site_type_symbol
_atom_site_fract_x
_atom_site_fract_y
_atom_site_fract_z
_atom_site_occupancy
K1 K 0.000 0.000 0.000 1
K2 K 0.000 0.000 0.500 1
K3 K 0.000 0.500 0.000 1
K4 K 0.500 0.000 0.000 1
Ba1 Ba 0.500 0.500 0.500 1
U1 U 0.000 0.500 0.500 1
U2 U 0.500 0.000 0.500 1
U3 U 0.500 0.500 0.000 1
O1 O 0.012 0.290 0.290 1
O2 O 0.255 0.500 0.745 1
O3 O 0.255 0.745 0.500 1
O4 O 0.290 0.012 0.290 1
O5 O 0.290 0.290 0.012 1
O6 O 0.500 0.255 0.745 1
O7 O 0.500 0.745 0.255 1
O8 O 0.710 0.710 0.988 1
O9 O 0.710 0.988 0.710 1
O10 O 0.745 0.255 0.500 1
O11 O 0.745 0.500 0.255 1
O12 O 0.988 0.710 0.710 1
```

=====

Arrangement ii

K4BaU3O12: optimized geometry, PBE.

- spin magnetization (μB/cell) = 0.00

```
data_K4BaU3O12
_cell_length_a 7.718
_cell_length_b 7.718
_cell_length_c 7.718
_cell_angle_alpha 109.47
_cell_angle_beta 109.47
_cell_angle_gamma 109.47
_symmetry_space_group_name_H-M 'P 1'
_symmetry_Int_Tables_number 1
_symmetry_space_group_name_Hall 'P 1'
loop_
_atom_site_label
_atom_site_type_symbol
_atom_site_fract_x
_atom_site_fract_y
_atom_site_fract_z
_atom_site_occupancy
K1 K 0.000 0.000 0.500 1
K2 K 0.000 0.500 0.000 1
K3 K 0.500 0.000 0.000 1
K4 K 0.500 0.500 0.500 1
Ba1 Ba 0.000 0.000 0.000 1
U1 U 0.000 0.500 0.500 1
U2 U 0.500 0.000 0.500 1
U3 U 0.500 0.500 0.000 1
O1 O 0.000 0.284 0.284 1
O2 O 0.000 0.716 0.716 1
O3 O 0.250 0.500 0.750 1
O4 O 0.250 0.750 0.500 1
O5 O 0.284 0.000 0.284 1
O6 O 0.284 0.284 0.000 1
O7 O 0.500 0.250 0.750 1
O8 O 0.500 0.750 0.250 1
O9 O 0.716 0.000 0.716 1
O10 O 0.716 0.716 0.000 1
O11 O 0.750 0.250 0.500 1
O12 O 0.750 0.500 0.250 1
```

=====

Least stable structure: arrangement ii